No. 1
Material: In5AgSe8
Method: DFT, meta-GGA r2SCAN
State: optimized geometry

Results
M_tot	0.00	μB per formula unit
calculated formation energy	-0.646	eV per atom
VASP energy	-18.41	eV/atom

Unit cell a=7.186 b=7.186 c=8.361 alpha=90.23 beta=90.23 gamma=109.01
Atoms (fractional coordinates):
In: 0.000 0.000 0.000
In: 0.003 0.525 0.757
In: 0.475 0.997 0.243
In: 0.476 0.524 0.500
In: 0.990 0.010 0.500
Ag: 0.484 0.516 0.000
Se: 0.322 0.621 0.251
Se: 0.375 0.134 0.516
Se: 0.377 0.128 0.981
Se: 0.379 0.678 0.749
Se: 0.844 0.133 0.751
Se: 0.866 0.625 0.484
Se: 0.867 0.156 0.249
Se: 0.872 0.623 0.019


No. 2
Material: Te2AuCl
Method: DFT, meta-GGA r2SCAN
State: optimized geometry

Results
M_tot	0.00	μB per formula unit
calculated formation energy	-0.305	eV per atom
VASP energy	-27.20	eV/atom

Unit cell a=6.431 b=6.431 c=8.853 alpha=90.00 beta=90.00 gamma=143.13
Atoms (fractional coordinates):
Te: 0.108 0.892 0.552
Te: 0.108 0.892 0.948
Te: 0.892 0.108 0.052
Te: 0.892 0.108 0.448
Au: 0.415 0.585 0.250
Au: 0.585 0.415 0.750
Cl: 0.334 0.666 0.750
Cl: 0.666 0.334 0.250